# MnO2 | the Materials Project database | r2SCAN | relaxed
data_MnO2
_space_group_name_H-M_alt 'P 1'
_space_group_IT_number 1
_space_group_name_Hall 'P 1'
_cell_length_a 7.1186
_cell_length_b 7.1186
_cell_length_c 7.1186
_cell_angle_alpha 23.14
_cell_angle_beta 23.14
_cell_angle_gamma 23.14
loop_
_atom_site_label
_atom_site_type_symbol
_atom_site_fract_x
_atom_site_fract_y
_atom_site_fract_z
_atom_site_occupancy
Mn1 Mn 0.0000 0.0000 0.0000 1
O1 O 0.3790 0.3790 0.3790 1
O2 O 0.6210 0.6210 0.6210 1
# **Total magnetization**: 3.000 Bohr magnetons per cell
# **Energy**: -10.84 eV/atom

# Y2HfO5 | the Materials Project database | r2SCAN | relaxed
data_Y2HfO5
_space_group_name_H-M_alt 'P 1'
_space_group_IT_number 1
_space_group_name_Hall 'P 1'
_cell_length_a 5.9482
_cell_length_b 5.9482
_cell_length_c 10.8072
_cell_angle_alpha 90.00
_cell_angle_beta 90.00
_cell_angle_gamma 139.87
loop_
_atom_site_label
_atom_site_type_symbol
_atom_site_fract_x
_atom_site_fract_y
_atom_site_fract_z
_atom_site_occupancy
Y1 Y 0.1394 0.8606 0.5665 1
Y2 Y 0.1394 0.8606 0.9335 1
Y3 Y 0.8606 0.1394 0.0665 1
Y4 Y 0.8606 0.1394 0.4335 1
Hf1 Hf 0.1767 0.8233 0.2500 1
Hf2 Hf 0.8233 0.1767 0.7500 1
O1 O 0.0487 0.9513 0.1194 1
O2 O 0.0487 0.9513 0.3806 1
O3 O 0.2664 0.7336 0.7500 1
O4 O 0.2905 0.7095 0.0882 1
O5 O 0.2905 0.7095 0.4118 1
O6 O 0.7095 0.2905 0.5882 1
O7 O 0.7095 0.2905 0.9118 1
O8 O 0.7336 0.2664 0.2500 1
O9 O 0.9513 0.0487 0.6194 1
O10 O 0.9513 0.0487 0.8806 1
# **Total magnetization**: 0.000 Bohr magnetons per cell
# **Energy**: -18.34 eV/atom
# **Distance to the lowest polymorph of the same formula**: 22 meV per atom

Table of DFT formation energy (eV per atom), in record order: -1.963, -3.882